1.
A plane-wave DFT calculation with meta-GGA r2SCAN was carried out for a relaxed structure of TiMn2.

Calculated values
Formation energy, eV per atom: -0.194

Unit cell a=5.0858 b=5.0858 c=7.7251 alpha=90.00 beta=90.00 gamma=120.00
Space group P6_3/mmc (No. 194)
One atom of each set of equivalent atoms:
Ti 0.3333 0.6667 0.0607 (multiplicity 4)
Mn 0.0000 0.0000 0.0000 (multiplicity 2)
Mn 0.1707 0.3414 0.7500 (multiplicity 6)


2.
A plane-wave DFT calculation with meta-GGA r2SCAN was carried out for a relaxed structure of Ce3CI5.

Calculated values
Formation energy, eV per atom: -1.473

Unit cell a=7.9588 b=9.7474 c=9.7985 alpha=107.19 beta=96.72 gamma=104.80
Space group P-1 (No. 2)
One atom of each set of equivalent atoms:
Ce 0.0311 0.2344 0.4218 (multiplicity 2)
Ce 0.1081 0.5401 0.2749 (multiplicity 2)
Ce 0.3820 0.6338 0.6800 (multiplicity 2)
C 0.0887 0.5302 0.5414 (multiplicity 2)
I 0.0902 0.8754 0.3181 (multiplicity 2)
I 0.1900 0.2279 0.1347 (multiplicity 2)
I 0.2603 0.5866 0.9658 (multiplicity 2)
I 0.3504 0.9587 0.7761 (multiplicity 2)
I 0.4531 0.3031 0.5954 (multiplicity 2)


3.
A plane-wave DFT calculation with meta-GGA r2SCAN was carried out for a relaxed structure of LiGd2Ga.

Calculated values
Formation energy, eV per atom: -0.335

Unit cell a=7.2693 b=7.2693 c=7.2693 alpha=90.00 beta=90.00 gamma=90.00
Space group Fm-3m (No. 225)
One atom of each set of equivalent atoms:
Li 0.0000 0.0000 0.0000 (multiplicity 4)
Gd 0.2500 0.2500 0.2500 (multiplicity 8)
Ga 0.0000 0.0000 0.5000 (multiplicity 4)


| no. | magnetic moment (μB/f.u.) | mass density (g/cm³) |
| --- | --- | --- |
| 1 | 1.728 | 6.1 |
| 2 | 3.981 | 5.2 |
| 3 | 15.308 | 6.8 |